1.
! GaCo meta-GGA r2SCAN optimized geometry; values from VASP
&SYSTEM
  ibrav = 0, nat = 2, ntyp = 2
/
ATOMIC_SPECIES
Ga 69.72 Ga.upf
Co 58.93 Co.upf
CELL_PARAMETERS angstrom
2.847 0.000 0.000
0.000 2.847 0.000
0.000 0.000 2.847
ATOMIC_POSITIONS angstrom
Ga 0.000 0.000 0.000
Co 1.424 1.424 1.424
! Energy, eV per cell: -25.07

2.
! Gd2Ga8Co meta-GGA r2SCAN optimized geometry; values from VASP
&SYSTEM
  ibrav = 0, nat = 11, ntyp = 3
/
ATOMIC_SPECIES
Gd 157.25 Gd.upf
Ga 69.72 Ga.upf
Co 58.93 Co.upf
CELL_PARAMETERS angstrom
4.219 0.000 0.000
0.000 4.219 0.000
0.000 0.000 11.084
ATOMIC_POSITIONS angstrom
Gd 0.000 0.000 2.160
Gd 0.000 0.000 8.924
Ga 0.000 2.109 0.000
Ga 0.000 2.109 4.273
Ga 0.000 2.109 6.811
Ga 2.109 0.000 0.000
Ga 2.109 0.000 4.273
Ga 2.109 0.000 6.811
Ga 2.109 2.109 2.168
Ga 2.109 2.109 8.916
Co 0.000 0.000 5.542
! Energy, eV per cell: -196.71

3.
! Gd2Ga9Co3 meta-GGA r2SCAN optimized geometry; values from VASP
&SYSTEM
  ibrav = 0, nat = 28, ntyp = 3
/
ATOMIC_SPECIES
Gd 157.25 Gd.upf
Ga 69.72 Ga.upf
Co 58.93 Co.upf
CELL_PARAMETERS angstrom
6.308 -3.664 0.000
6.308 3.664 0.000
0.000 0.000 9.413
ATOMIC_POSITIONS angstrom
Gd 4.233 2.439 7.060
Gd 8.382 2.439 7.060
Gd 4.233 -2.439 2.353
Gd 8.382 -2.439 2.353
Ga 4.215 2.429 0.657
Ga 4.215 2.429 4.049
Ga 6.308 2.757 2.353
Ga 8.400 2.429 0.657
Ga 8.400 2.429 4.049
Ga 4.973 0.427 2.353
Ga 6.308 1.204 5.237
Ga 6.308 1.204 8.882
Ga 4.973 -0.427 7.060
Ga 7.642 0.427 2.353
Ga 6.308 -1.204 0.530
Ga 6.308 -1.204 4.176
Ga 7.642 -0.427 7.060
Ga 4.215 -2.429 5.364
Ga 4.215 -2.429 8.755
Ga 6.308 -2.757 7.060
Ga 8.400 -2.429 5.364
Ga 8.400 -2.429 8.755
Co 0.000 0.000 0.000
Co 0.000 0.000 4.706
Co 4.153 0.000 0.000
Co 4.153 0.000 4.706
Co 8.462 0.000 0.000
Co 8.462 0.000 4.706
! Energy, eV per cell: -471.55

4.
! HfGaCo meta-GGA r2SCAN optimized geometry; values from VASP
&SYSTEM
  ibrav = 0, nat = 9, ntyp = 3
/
ATOMIC_SPECIES
Hf 178.49 Hf.upf
Ga 69.72 Ga.upf
Co 58.93 Co.upf
CELL_PARAMETERS angstrom
6.919 0.000 0.000
-3.459 5.992 0.000
0.000 0.000 3.246
ATOMIC_POSITIONS angstrom
Hf -2.073 3.591 0.000
Hf 1.386 2.401 0.000
Hf 4.146 0.000 0.000
Ga -0.918 1.590 1.623
Ga 1.835 0.000 1.623
Ga 2.542 4.402 1.623
Co 0.000 0.000 0.000
Co 0.000 3.994 1.623
Co 3.459 1.997 1.623
! Energy, eV per cell: -214.25

5.
! HfGa5Co meta-GGA r2SCAN optimized geometry; values from VASP
&SYSTEM
  ibrav = 0, nat = 7, ntyp = 3
/
ATOMIC_SPECIES
Hf 178.49 Hf.upf
Ga 69.72 Ga.upf
Co 58.93 Co.upf
CELL_PARAMETERS angstrom
4.096 0.000 0.000
0.000 4.096 0.000
0.000 0.000 6.524
ATOMIC_POSITIONS angstrom
Hf 0.000 0.000 0.000
Ga 0.000 2.048 1.980
Ga 0.000 2.048 4.544
Ga 2.048 0.000 1.980
Ga 2.048 0.000 4.544
Ga 2.048 2.048 0.000
Co 0.000 0.000 3.262
! Energy, eV per cell: -118.08

6.
! Ho6GaCo2 meta-GGA r2SCAN optimized geometry; values from VASP
&SYSTEM
  ibrav = 0, nat = 18, ntyp = 3
/
ATOMIC_SPECIES
Ho 164.93 Ho.upf
Ga 69.72 Ga.upf
Co 58.93 Co.upf
CELL_PARAMETERS angstrom
-4.580 4.744 4.839
4.580 -4.744 4.839
4.580 4.744 -4.839
ATOMIC_POSITIONS angstrom
Ho 4.580 2.871 -2.540
Ho 2.570 1.710 0.000
Ho 6.590 1.710 0.000
Ho 1.717 4.744 -1.677
Ho 2.863 0.000 3.162
Ho 0.000 1.873 2.299
Ho 4.580 2.871 2.540
Ho 1.717 4.744 1.677
Ho 2.863 0.000 6.516
Ho -2.010 3.033 4.839
Ho 2.010 3.033 4.839
Ho 0.000 1.873 7.379
Ga 0.000 0.000 0.000
Ga 0.000 0.000 4.839
Co 4.580 0.000 1.100
Co 0.000 3.199 0.000
Co 0.000 6.288 0.000
Co 0.000 4.744 3.739
! Energy, eV per cell: -475.18

7.
! Ho2Ga9Co3 meta-GGA r2SCAN optimized geometry; values from VASP
&SYSTEM
  ibrav = 0, nat = 28, ntyp = 3
/
ATOMIC_SPECIES
Ho 164.93 Ho.upf
Ga 69.72 Ga.upf
Co 58.93 Co.upf
CELL_PARAMETERS angstrom
6.277 -3.642 0.000
6.277 3.642 0.000
0.000 0.000 9.340
ATOMIC_POSITIONS angstrom
Ho 4.211 2.426 7.005
Ho 8.343 2.426 7.005
Ho 4.211 -2.426 2.335
Ho 8.343 -2.426 2.335
Ga 4.187 2.419 0.659
Ga 4.187 2.419 4.010
Ga 6.277 2.751 2.335
Ga 8.367 2.419 0.659
Ga 8.367 2.419 4.010
Ga 6.277 1.205 5.219
Ga 6.277 1.205 8.790
Ga 4.940 0.420 2.335
Ga 4.940 -0.420 7.005
Ga 7.614 0.420 2.335
Ga 7.614 -0.420 7.005
Ga 6.277 -1.205 0.549
Ga 6.277 -1.205 4.120
Ga 4.187 -2.419 5.329
Ga 4.187 -2.419 8.680
Ga 6.277 -2.751 7.005
Ga 8.367 -2.419 5.329
Ga 8.367 -2.419 8.680
Co 0.000 0.000 0.000
Co 0.000 0.000 4.670
Co 4.129 0.000 0.000
Co 4.129 0.000 4.670
Co 8.425 0.000 0.000
Co 8.425 0.000 4.670
! Energy, eV per cell: -430.11

8.
! Ho4Ga16Co3 meta-GGA r2SCAN optimized geometry; values from VASP
&SYSTEM
  ibrav = 0, nat = 23, ntyp = 3
/
ATOMIC_SPECIES
Ho 164.93 Ho.upf
Ga 69.72 Ga.upf
Co 58.93 Co.upf
CELL_PARAMETERS angstrom
5.952 0.000 0.000
0.000 5.952 0.000
0.000 0.000 10.953
ATOMIC_POSITIONS angstrom
Ho 0.000 2.976 2.137
Ho 0.000 2.976 8.816
Ho 2.976 0.000 2.137
Ho 2.976 0.000 8.816
Ga 0.000 0.000 2.135
Ga 0.000 0.000 8.818
Ga 1.303 1.303 0.000
Ga 1.303 4.649 0.000
Ga 1.491 1.491 4.212
Ga 1.491 1.491 6.740
Ga 1.491 4.461 4.212
Ga 1.491 4.461 6.740
Ga 2.976 2.976 2.398
Ga 2.976 2.976 8.555
Ga 4.461 1.491 4.212
Ga 4.461 1.491 6.740
Ga 4.461 4.461 4.212
Ga 4.461 4.461 6.740
Ga 4.649 1.303 0.000
Ga 4.649 4.649 0.000
Co 0.000 2.976 5.476
Co 2.976 0.000 5.476
Co 2.976 2.976 0.000
! Energy, eV per cell: -366.33

9.
! Mg3Ga7Co2 meta-GGA r2SCAN optimized geometry; values from VASP
&SYSTEM
  ibrav = 0, nat = 24, ntyp = 3
/
ATOMIC_SPECIES
Mg 24.30 Mg.upf
Ga 69.72 Ga.upf
Co 58.93 Co.upf
CELL_PARAMETERS angstrom
4.488 -4.684 0.000
4.488 4.684 0.000
-0.606 0.000 9.248
ATOMIC_POSITIONS angstrom
Mg 4.034 3.260 6.936
Mg 2.310 0.503 6.438
Mg 2.613 -0.503 1.814
Mg 5.758 0.503 7.434
Mg 6.061 -0.503 2.810
Mg 4.337 -3.260 2.312
Ga 0.512 0.639 8.996
Ga 2.253 1.564 3.681
Ga 0.815 -0.639 4.372
Ga 4.337 2.518 2.312
Ga 3.298 1.197 9.084
Ga 4.770 1.197 4.788
Ga 1.950 -1.564 8.305
Ga 6.420 1.564 0.944
Ga 3.600 -1.197 4.460
Ga 5.073 -1.197 0.164
Ga 4.034 -2.518 6.936
Ga 7.556 0.639 4.876
Ga 6.118 -1.564 5.568
Ga 7.858 -0.639 0.252
Co 2.226 2.118 1.336
Co 1.923 -2.118 5.960
Co 6.448 2.118 3.288
Co 6.145 -2.118 7.912
! Energy, eV per cell: -243.22

10.
! NpGa5Co meta-GGA r2SCAN optimized geometry; values from VASP
&SYSTEM
  ibrav = 0, nat = 7, ntyp = 3
/
ATOMIC_SPECIES
Np 237.00 Np.upf
Ga 69.72 Ga.upf
Co 58.93 Co.upf
CELL_PARAMETERS angstrom
4.191 0.000 0.000
0.000 4.211 0.000
0.000 0.000 6.823
ATOMIC_POSITIONS angstrom
Np 0.000 0.000 0.000
Ga 0.000 2.105 2.129
Ga 0.000 2.105 4.694
Ga 2.095 0.000 2.133
Ga 2.095 0.000 4.690
Ga 2.095 2.105 0.000
Co 0.000 0.000 3.411
! Energy, eV per cell: -156.23

11.
! Ga2CoO4 meta-GGA r2SCAN optimized geometry; values from VASP
&SYSTEM
  ibrav = 0, nat = 28, ntyp = 3
/
ATOMIC_SPECIES
Ga 69.72 Ga.upf
Co 58.93 Co.upf
O 16.00 O.upf
CELL_PARAMETERS angstrom
5.701 0.000 0.000
0.000 5.819 0.000
0.000 0.000 8.510
ATOMIC_POSITIONS angstrom
Ga 1.425 0.000 0.965
Ga 1.427 1.455 6.383
Ga 1.425 2.909 3.290
Ga 1.424 4.364 6.383
Ga 4.276 0.000 7.546
Ga 4.277 1.455 2.128
Ga 4.276 2.909 5.220
Ga 4.274 4.364 2.128
Co 0.000 0.000 4.255
Co 0.000 2.909 0.000
Co 2.850 0.000 4.255
Co 2.850 2.909 0.000
O 0.081 0.001 6.433
O 0.081 2.908 6.333
O 1.417 1.369 4.384
O 1.417 1.540 8.381
O 1.433 4.278 8.381
O 1.433 4.450 4.384
O 2.770 5.818 6.433
O 2.770 2.910 6.333
O 2.931 0.001 2.078
O 2.931 2.908 2.177
O 4.268 1.369 4.126
O 4.268 1.540 0.129
O 4.284 4.278 0.129
O 4.284 4.450 4.126
O 5.620 5.818 2.078
O 5.620 2.910 2.177
! Energy above the lowest structure with this stoichiometry, meV per atom: 84

12.
! Ga2CoO4 meta-GGA r2SCAN optimized geometry; values from VASP
&SYSTEM
  ibrav = 0, nat = 28, ntyp = 3
/
ATOMIC_SPECIES
Ga 69.72 Ga.upf
Co 58.93 Co.upf
O 16.00 O.upf
CELL_PARAMETERS angstrom
-3.158 2.806 4.122
-4.519 -2.740 2.630
6.568 -6.082 4.949
ATOMIC_POSITIONS angstrom
Ga -6.097 -1.337 4.691
Ga -0.554 -3.007 5.850
Ga -1.066 -0.802 3.956
Ga -0.043 -5.213 7.744
Ga -3.325 -2.172 5.271
Ga 2.217 -3.843 6.429
Ga -1.747 -3.575 3.210
Ga 0.638 -2.440 8.490
Co -2.741 -3.191 8.526
Co 2.657 -7.235 6.964
Co -3.766 1.220 4.737
Co 1.632 -2.824 3.174
O -0.172 -2.587 3.937
O 0.851 -6.997 7.726
O -4.427 -0.514 5.411
O 1.115 -2.184 6.569
O -3.962 -2.516 7.130
O 1.580 -4.187 8.289
O -0.526 -0.292 2.104
O 0.497 -4.702 5.892
O -1.606 -1.313 5.808
O -0.582 -5.723 9.597
O -2.688 -1.828 3.412
O 2.854 -3.499 4.570
O -1.960 0.982 3.975
O -0.936 -3.428 7.763
O -2.224 -3.830 5.131
O 3.318 -5.501 6.290
! Energy above the lowest structure with this stoichiometry, meV per atom: 0